Computed, not measured: an optimized crystal structure of K3IrCl6 at the PBE level of DFT.

final energy	-3.715	eV per atom
calculated formation energy	-40.5	kcal/mol of atoms
calculated volume	27.87	A^3/atom

Cell lengths 12.7465, 7.5937, 12.1258 Å; angles 90.00, 108.25, 90.00 degrees
Closest atoms and distances in Å follow each position.
Fractional coordinates of all 40 atoms:
K1 0.0977 0.0398 0.3583  9 Cl 3.26-3.64
K2 0.0977 0.4602 0.8583  9 Cl 3.26-3.64
K3 0.3173 0.5692 0.2652  7 Cl 3.09-3.45
K4 0.3173 0.9308 0.7652  7 Cl 3.09-3.45
K5 0.3183 0.0657 0.1135  8 Cl 3.18-3.49
K6 0.3183 0.4343 0.6135  8 Cl 3.18-3.49
K7 0.6817 0.5657 0.3865  8 Cl 3.18-3.49
K8 0.6817 0.9343 0.8865  8 Cl 3.18-3.49
K9 0.6827 0.0692 0.2348  7 Cl 3.09-3.45
K10 0.6827 0.4308 0.7348  7 Cl 3.09-3.45
K11 0.9023 0.5398 0.1417  9 Cl 3.26-3.64
K12 0.9023 0.9602 0.6417  9 Cl 3.26-3.64
Ir1 0.0000 0.0000 0.0000  6 Cl 2.37-2.39
Ir2 0.0000 0.5000 0.5000  6 Cl 2.37-2.39
Ir3 0.5000 0.0000 0.5000  6 Cl 2.38
Ir4 0.5000 0.5000 0.0000  6 Cl 2.38
Cl1 0.0918 0.2440 0.5992  1 Ir 2.39
Cl2 0.0918 0.2560 0.0992  1 Ir 2.39
Cl3 0.1161 0.0019 0.8804  1 Ir 2.37
Cl4 0.1161 0.4981 0.3804  1 Ir 2.37
Cl5 0.1227 0.6860 0.6392  1 Ir 2.37
Cl6 0.1227 0.8140 0.1392  1 Ir 2.37
Cl7 0.3538 0.6911 0.0053  1 Ir 2.38
Cl8 0.3538 0.8089 0.5053  1 Ir 2.38
Cl9 0.3611 0.2035 0.3985  1 Ir 2.38
Cl10 0.3611 0.2965 0.8985  1 Ir 2.38
Cl11 0.4999 0.1292 0.6785  1 Ir 2.38
Cl12 0.4999 0.3708 0.1785  1 Ir 2.38
Cl13 0.5001 0.6292 0.8215  1 Ir 2.38
Cl14 0.5001 0.8708 0.3215  1 Ir 2.38
Cl15 0.6389 0.7035 0.1015  1 Ir 2.38
Cl16 0.6389 0.7965 0.6015  1 Ir 2.38
Cl17 0.6462 0.1911 0.4947  1 Ir 2.38
Cl18 0.6462 0.3089 0.9947  1 Ir 2.38
Cl19 0.8773 0.1860 0.8608  1 Ir 2.37
Cl20 0.8773 0.3140 0.3608  1 Ir 2.37
Cl21 0.8839 0.5019 0.6196  1 Ir 2.37
Cl22 0.8839 0.9981 0.1196  1 Ir 2.37
Cl23 0.9082 0.7440 0.9008  1 Ir 2.39
Cl24 0.9082 0.7560 0.4008  1 Ir 2.39